[1]
Below is a relaxed Zr2Si4Ru3 crystal, with properties calculated at the PBE level.

Cell and atoms, written as CIF:
```
data_Zr2Si4Ru3
_cell_length_a 19.090
_cell_length_b 5.391
_cell_length_c 13.385
_cell_angle_alpha 90.00
_cell_angle_beta 127.78
_cell_angle_gamma 90.00
_space_group_name_H-M_alt 'C 1 2/c 1'
_space_group_IT_number 15
loop_
_space_group_symop_operation_xyz
'x,y,z'
'-x,-y,-z'
'-x,y,-z+1/2'
'x,-y,z+1/2'
'x+1/2,y+1/2,z'
'-x+1/2,-y+1/2,-z'
'-x+1/2,y+1/2,-z+1/2'
'x+1/2,-y+1/2,z+1/2'
loop_
_atom_site_label
_atom_site_type_symbol
_atom_site_fract_x
_atom_site_fract_y
_atom_site_fract_z
Zr1 Zr 0.073 0.127 0.148
Zr2 Zr 0.166 0.373 0.863
Si1 Si 0.000 0.120 0.750
Si2 Si 0.000 0.370 0.250
Si3 Si 0.113 0.359 0.605
Si4 Si 0.170 0.243 0.065
Si5 Si 0.235 0.123 0.396
Ru1 Ru 0.021 0.390 0.915
Ru2 Ru 0.124 0.141 0.434
Ru3 Ru 0.238 0.091 0.721
```

Calculated values
DFT formation energy: -0.880 eV/atom

=====

[2]
Below is a relaxed Pb2OF2 crystal, with properties calculated at the PBE level.

Cell and atoms, written as CIF:
```
data_Pb2OF2
_cell_length_a 8.354
_cell_length_b 8.354
_cell_length_c 5.825
_cell_angle_alpha 90.00
_cell_angle_beta 90.00
_cell_angle_gamma 90.00
_space_group_name_H-M_alt 'P 42/n m c'
_space_group_IT_number 137
loop_
_space_group_symop_operation_xyz
'x,y,z'
'-x,-y,-z'
'-y+1/2,x,z+1/2'
'y+1/2,-x,-z+1/2'
'-x+1/2,-y+1/2,z'
'x+1/2,y+1/2,-z'
'y,-x+1/2,z+1/2'
'-y,x+1/2,-z+1/2'
'x+1/2,-y,-z'
'-x+1/2,y,z'
'-y,-x,-z+1/2'
'y,x,z+1/2'
'-x,y+1/2,-z'
'x,-y+1/2,z'
'y+1/2,x+1/2,-z+1/2'
'-y+1/2,-x+1/2,z+1/2'
loop_
_atom_site_label
_atom_site_type_symbol
_atom_site_fract_x
_atom_site_fract_y
_atom_site_fract_z
Pb1 Pb 0.029 0.250 0.054
O1 O 0.250 0.250 0.331
F1 F 0.036 0.536 0.250
```

Calculated values
DFT formation energy: -2.207 eV/atom

=====

[3]
Below is a relaxed MgCuSi2O6 crystal, with properties calculated at the PBE level.

Cell and atoms, written as CIF:
```
data_MgCuSi2O6
_cell_length_a 10.021
_cell_length_b 9.235
_cell_length_c 5.258
_cell_angle_alpha 90.00
_cell_angle_beta 110.94
_cell_angle_gamma 90.00
_space_group_name_H-M_alt 'C 1 2/c 1'
_space_group_IT_number 15
loop_
_space_group_symop_operation_xyz
'x,y,z'
'-x,-y,-z'
'-x,y,-z+1/2'
'x,-y,z+1/2'
'x+1/2,y+1/2,z'
'-x+1/2,-y+1/2,-z'
'-x+1/2,y+1/2,-z+1/2'
'x+1/2,-y+1/2,z+1/2'
loop_
_atom_site_label
_atom_site_type_symbol
_atom_site_fract_x
_atom_site_fract_y
_atom_site_fract_z
Mg1 Mg 0.000 0.244 0.250
Cu1 Cu 0.000 0.109 0.750
Si1 Si 0.206 0.411 0.755
O1 O 0.118 0.099 0.132
O2 O 0.127 0.261 0.633
O3 O 0.155 0.471 0.000
```

Calculated values
DFT formation energy: -2.694 eV/atom
energy relative to the lowest polymorph listed for this composition: 41 meV per atom

=====

[4]
Below is a relaxed CaNdNb2O7 crystal, with properties calculated at the PBE level.

Cell and atoms, written as CIF:
```
data_CaNdNb2O7
_cell_length_a 7.464
_cell_length_b 7.564
_cell_length_c 10.633
_cell_angle_alpha 90.00
_cell_angle_beta 90.00
_cell_angle_gamma 90.00
_space_group_name_H-M_alt 'I m m a'
_space_group_IT_number 74
_space_group_name_Hall '-I 2b 2'
loop_
_atom_site_label
_atom_site_type_symbol
_atom_site_fract_x
_atom_site_fract_y
_atom_site_fract_z
Ca1 Ca 0.250 0.250 0.250
Nd1 Nd 0.000 0.000 0.000
Nb1 Nb 0.000 0.000 0.500
Nb2 Nb 0.250 0.250 0.750
O1 O 0.000 0.250 0.126
O2 O 0.000 0.250 0.431
O3 O 0.000 0.250 0.830
O4 O 0.201 0.052 0.624
```

Calculated values
DFT formation energy: -3.309 eV/atom

=====

| no. | DFT total energy (eV/atom) |
| --- | --- |
| 1 | -8.282 |
| 2 | -5.125 |
| 3 | -6.906 |
| 4 | -8.473 |